The following is a PBE with a Hubbard U calculation of crystalline Li2CoCuO4 at its relaxed geometry, from the Materials Project.

Lattice parameters (Å, degrees): 5.057 5.062 5.913 90.08 90.59 108.50
Fractional coordinates of all 16 atoms:
1 Li 0.000 0.000 0.000
2 Li 0.001 0.501 0.754
3 Li 0.495 0.995 0.254
4 Li 0.498 0.496 0.510
5 Co 0.498 0.995 0.754
6 Co 0.997 0.498 0.254
7 Cu 0.502 0.492 0.001
8 Cu 0.992 0.006 0.509
9 O 0.200 0.246 0.283
10 O 0.233 0.782 0.510
11 O 0.275 0.727 0.004
12 O 0.279 0.262 0.781
13 O 0.722 0.252 0.997
14 O 0.746 0.701 0.227
15 O 0.758 0.229 0.505
16 O 0.759 0.784 0.728

## Properties
**Offset from the most stable computed form**: 18.0 meV/atom
**ΔH_f (0 K)**: -1.542 eV per atom
**Total energy after the MP2020 corrections**: -94.3 eV/cell
**Electronic total energy**: -5.35 eV per atom